ScSi | meta-GGA r2SCAN | relaxed

Cell: 3.994 9.907 3.667 Å, 90.00 90.00 90.00°
Space group Cmcm (No. 63)
Symmetry-distinct sites (fractional):
Sc1 0.000 0.139 0.250 (multiplicity 4)
Si1 0.000 0.419 0.250 (multiplicity 4)

The calculation puts the total energy at -87.56 eV/cell. As for the crystal system: orthorhombic. Its total magnetization is 0.000 μB per cell.